(1)
# KIn6Au4 PBE optimized geometry
data_KIn6Au4
_symmetry_space_group_name_H-M 'P -6 m 2'
_symmetry_Int_Tables_number 187
_symmetry_space_group_name_Hall 'P -6 2'
_cell_length_a 8.2942
_cell_length_b 8.2942
_cell_length_c 4.5063
_cell_angle_alpha 90.00
_cell_angle_beta 90.00
_cell_angle_gamma 120.00
loop_
_atom_site_label
_atom_site_fract_x
_atom_site_fract_y
_atom_site_fract_z
K1 0.0000 0.0000 0.0000
In1 0.1966 0.3931 0.5000
In2 0.5343 0.0687 0.0000
Au1 0.3333 0.6667 0.0000
Au2 0.4093 0.2047 0.5000
# Energy in eV for the cell shown: -33.62
# Energy of formation from the pure elements in eV/atom: -0.26

---

(2)
# K3GaF6 PBE optimized geometry
data_K3GaF6
_symmetry_space_group_name_H-M 'F m -3 m'
_symmetry_Int_Tables_number 225
_symmetry_space_group_name_Hall '-F 4 2 3'
_cell_length_a 8.877
_cell_length_b 8.877
_cell_length_c 8.877
_cell_angle_alpha 90.00
_cell_angle_beta 90.00
_cell_angle_gamma 90.00
loop_
_atom_site_label
_atom_site_fract_x
_atom_site_fract_y
_atom_site_fract_z
K1 0.000 0.000 0.000
K2 0.250 0.250 0.250
Ga1 0.000 0.000 0.500
F1 0.000 0.000 0.283
# Energy in eV for the cell shown: -182.29
# Energy of formation from the pure elements in eV/atom: -3.05